## NiGeN2 (GGA-PBE)

Data for a relaxed structure of NiGeN2.

Final energy (eV/atom): -6.078
Volume (Å³ per cell): 75.9
M_tot (μB per cell): 0.0
Crystal system: hexagonal

a b c (Å): 2.9217 2.9218 10.2629
angles (deg): 90.00 90.00 120.00
With the nearest neighbours (Å) after each atom.
Sites, in units of the cell vectors:
1 N 0.6667 0.3334 0.8790  3 Ni 2.09, 3 Ge 2.14
2 N 0.3333 0.6666 0.1210  3 Ni 2.09, 3 Ge 2.14
3 N 0.6667 0.3334 0.6210  3 Ni 2.09, 3 Ge 2.14
4 N 0.3333 0.6666 0.3790  3 Ni 2.09, 3 Ge 2.14
5 Ni 0.0000 0.0000 0.0000  6 N 2.09
6 Ge 0.6667 0.3333 0.2500  6 N 2.14
7 Ge 0.3333 0.6667 0.7500  6 N 2.14
8 Ni 0.0000 0.0000 0.5000  6 N 2.09


## Na6Sc4Si5Sn4S7O48 (GGA-PBE)

Data for a relaxed structure of Na6Sc4Si5Sn4S7O48.

Final energy (eV/atom): -6.691
Volume (Å³ per cell): 3185.1
M_tot (μB per cell): 0.0
Crystal system: triclinic

a b c (Å): 17.8771 8.9173 23.0680
angles (deg): 90.00 89.97 119.99
With the nearest neighbours (Å) after each atom.
Sites, in units of the cell vectors:
1 O 0.5657 0.6493 0.0771  1 S 1.49
2 O 0.9919 0.8041 0.0908  1 S 1.50
3 S 0.1489 0.2950 0.7515  4 O 1.47-1.49
4 O 0.4333 0.5081 0.4202  1 S 1.48
5 O 0.8233 0.1341 0.4211  1 S 1.48
6 O 0.6567 0.8554 0.9710  1 S 1.49
7 O 0.7601 0.6420 0.8666  1 S 1.47
8 O 0.9831 0.7809 0.8078  1 Si 1.64
9 O 0.2607 0.6993 0.2574  1 Si 1.63
10 Na 0.5015 0.3628 0.7529  3 O 2.26-2.49
11 O 0.5881 0.9735 0.9135  1 S 1.50
12 S 0.9817 0.6273 0.0858  4 O 1.47-1.50
13 O 0.9013 0.8269 0.9133  1 S 1.48
14 O 0.0860 0.0299 0.5861  1 Si 1.67
15 O 0.2425 0.6393 0.5756  1 Si 1.65
16 O 0.7431 0.1354 0.9214  1 S 1.50
17 O 0.1542 0.4523 0.4691  1 S 1.47
18 O 0.7720 0.6976 0.2537  1 S 1.46
19 O 0.2456 0.3711 0.1403  1 Si 1.61
20 O 0.4137 0.3183 0.2427  1 Si 1.63
21 S 0.8334 0.6275 0.5830  4 O 1.44-1.50
22 Si 0.5194 0.3795 0.9164  4 O 1.62-1.66
23 O 0.5929 0.0179 0.5848  1 Si 1.65
24 Si 0.4986 0.2966 0.2492  4 O 1.63-1.66
25 O 0.5111 0.1861 0.9137  1 Si 1.66
26 O 0.2749 0.8547 0.4698  1 S 1.48
27 Sn 0.0005 0.9855 0.8499  4 O 1.95-2.16
28 Si 0.3332 0.6351 0.5838  4 O 1.62-1.65
29 O 0.1477 0.8381 0.2545  1 S 1.49
30 Si 0.6433 0.2883 0.7505  4 O 1.60-1.67
31 Sn 0.5010 0.0145 0.1490  3 O 1.96-2.00
32 O 0.2321 0.3094 0.0244  1 Si 1.62
33 O 0.9230 0.3146 0.2457  1 S 1.48
34 O 0.3484 0.5278 0.2462  1 Si 1.64
35 O 0.4001 0.9737 0.4124  1 S 1.48
36 O 0.0268 0.8283 0.6923  1 Si 1.63
37 S 0.9775 0.3287 0.5828  4 O 1.45-1.50
38 O 0.8997 0.8186 0.1956  1 S 1.49
39 O 0.3191 0.5171 0.6406  1 Si 1.62
40 Sn 0.0020 0.0143 0.1420  6 O 1.96-2.17
41 O 0.6485 0.4570 0.4758  1 Si 1.65
42 O 0.1774 0.8680 0.8622  1 Si 1.61
43 O 0.5860 0.1436 0.0862  1 Si 1.67
44 S 0.5184 0.6674 0.4148  4 O 1.48-1.50
45 Sc 0.3247 0.3331 0.6794  2 O 1.91-1.92
46 Sc 0.8295 0.3186 0.9869  2 O 1.91-1.98
47 O 0.8189 0.1192 0.1414  1 Si 1.63
48 O 0.8533 0.1728 0.7462  1 Si 1.62
49 Na 0.6699 0.6528 0.1625  3 O 2.34-2.61
50 O 0.8229 0.5119 0.9233  1 S 1.48
51 Sn 0.1650 0.6649 0.0159  4 O 1.96-2.12
52 O 0.0139 0.8377 0.4098  1 Si 1.67
53 O 0.9239 0.0465 0.8075  1 Si 1.67
54 Na 0.5064 0.9995 0.5035  5 O 2.39-2.65
55 Sc 0.8237 0.3116 0.6917  4 O 1.98-2.08
56 O 0.1762 0.5127 0.0746  1 Si 1.67
57 S 0.8573 0.7133 0.2485  4 O 1.46-1.49
58 O 0.7534 0.6410 0.5767  1 S 1.50
59 O 0.6786 0.4863 0.3610  1 Si 1.62
60 S 0.9992 0.2910 0.2511  4 O 1.47-1.50
61 Na 0.0048 0.0107 0.9985  5 O 2.42-2.64
62 Si 0.0009 0.7013 0.7489  4 O 1.61-1.66
63 O 0.0124 0.2126 0.1974  1 S 1.50
64 Sn 0.3281 0.3229 0.9791  5 O 1.96-2.18
65 O 0.0837 0.9649 0.1988  1 S 1.51
66 O 0.7411 0.3549 0.1391  1 Si 1.63
67 Na 0.4976 0.6295 0.2513  4 O 2.35-2.53
68 S 0.1675 0.3750 0.4166  4 O 1.47-1.50
69 O 0.7349 0.1602 0.2459  1 S 1.48
70 O 0.2752 0.6956 0.9707  1 S 1.51
71 Na 0.6807 0.6901 0.6714  5 O 2.41-2.69
72 O 0.4287 0.3159 0.5321  1 S 1.48
73 O 0.4419 0.3572 0.6376  1 S 1.48
74 S 0.3129 0.6671 0.9161  4 O 1.46-1.51
75 O 0.5606 0.4875 0.8574  1 Si 1.62
76 Sn 0.5006 0.0138 0.3506  5 O 1.96-2.18
77 O 0.3214 0.5099 0.9219  1 S 1.49
78 O 0.7373 0.3090 0.7457  1 Si 1.60
79 O 0.0937 0.2194 0.6990  1 S 1.49
80 O 0.2421 0.1324 0.6380  1 Si 1.62
81 O 0.9151 0.0021 0.0877  1 Si 1.66
82 S 0.6487 0.0026 0.2514  4 O 1.47-1.49
83 O 0.7256 0.3054 0.0225  1 Si 1.64
84 O 0.2501 0.1502 0.9210  1 Si 1.64
85 O 0.4222 0.5253 0.7455  1 S 1.49
86 Na 0.6639 0.3046 0.9177  5 O 2.39-2.66
87 Si 0.1901 0.3416 0.0822  4 O 1.61-1.67
88 O 0.0777 0.4664 0.2545  1 S 1.49
89 O 0.7412 0.8457 0.0761  1 Si 1.64
90 O 0.9179 0.5116 0.7415  1 Si 1.61
91 S 0.6668 0.9557 0.9170  4 O 1.46-1.50
92 S 0.3323 0.0387 0.0834  4 O 1.46-1.50
93 O 0.2525 0.8643 0.0778  1 S 1.50
94 Si 0.8307 0.0321 0.0826  4 O 1.62-1.66
95 Na 0.8335 0.3344 0.8226  3 O 2.40-2.43
96 O 0.5083 0.8048 0.6969  1 S 1.49
97 S 0.4975 0.7045 0.7510  4 O 1.47-1.49
98 O 0.4841 0.7865 0.8022  1 S 1.47
99 O 0.4887 0.1772 0.5868  1 S 1.48
100 O 0.0768 0.9825 0.9138  1 Si 1.66
101 O 0.9120 0.7987 0.3003  1 S 1.49
102 Si 0.6640 0.3673 0.4178  4 O 1.62-1.66
103 S 0.8121 0.9584 0.4158  4 O 1.46-1.50
104 O 0.5991 0.1755 0.8098  1 Si 1.65
105 O 0.7746 0.8535 0.4691  1 S 1.49
106 Na 0.8253 0.3307 0.3403  3 O 2.34-2.55
107 O 0.9096 0.8068 0.5853  1 S 1.50
108 Sc 0.3317 0.3453 0.4897  2 O 1.89-2.00
109 Na 0.3295 0.3230 0.8380  4 O 2.42-2.68
110 S 0.4807 0.3341 0.5843  4 O 1.48-1.50
111 O 0.4010 0.8302 0.1914  1 Si 1.65
112 O 0.2237 0.1448 0.5211  1 Si 1.65
113 O 0.5724 0.6951 0.4677  1 S 1.50
114 O 0.7516 0.3522 0.4210  1 Si 1.64
115 O 0.6706 0.4982 0.0808  1 Si 1.64
116 O 0.9016 0.9699 0.6912  1 Si 1.66
117 O 0.4087 0.0133 0.0861  1 S 1.49
118 Na 0.9995 0.9946 0.5062  3 O 2.33-2.52
119 O 0.3942 0.9743 0.6951  1 S 1.48
120 O 0.4086 0.0229 0.8005  1 S 1.48
121 Sc 0.1703 0.6658 0.3145  5 O 1.99-2.21
122 O 0.1792 0.4802 0.3643  1 S 1.48
123 Si 0.0204 0.6575 0.4151  4 O 1.63-1.67
124 Na 0.1713 0.6897 0.6656  4 O 2.40-2.59
125 O 0.3995 0.8202 0.9109  1 S 1.47
126 O 0.0092 0.1946 0.9123  1 S 1.49
127 O 0.9865 0.1719 0.5864  1 S 1.49
128 O 0.7625 0.8275 0.7578  1 Si 1.61
129 O 0.9289 0.5463 0.0342  1 S 1.47
130 O 0.6773 0.8393 0.5740  1 Si 1.68
131 S 0.1423 0.9992 0.2502  4 O 1.45-1.51
132 Na 0.5010 0.0094 0.9998  6 O 2.43-2.70
133 O 0.1473 0.8408 0.9772  1 Si 1.66
134 O 0.6093 0.0304 0.3042  1 S 1.49
135 O 0.2584 0.6400 0.8655  1 S 1.46
136 Sn 0.6669 0.6579 0.0211  6 O 1.96-2.19
137 O 0.9344 0.3605 0.9215  1 S 1.47
138 O 0.0895 0.1981 0.4099  1 S 1.50
139 O 0.0940 0.1635 0.0872  1 Si 1.66
140 O 0.0696 0.6468 0.0809  1 S 1.50
141 O 0.2278 0.1503 0.2434  1 S 1.45
142 O 0.5747 0.1988 0.6953  1 Si 1.67
143 O 0.1569 0.4666 0.7583  1 S 1.47
144 O 0.4811 0.1814 0.3080  1 Si 1.63
145 O 0.5823 0.4959 0.2554  1 Si 1.66
146 Si 0.3561 0.7182 0.2506  4 O 1.63-1.66
147 O 0.3227 0.1213 0.1354  1 S 1.46
148 Na 0.3431 0.3462 0.3280  3 O 2.42-2.62
149 O 0.4250 0.3662 0.9264  1 Si 1.65
150 O 0.3504 0.1617 0.7442  1 S 1.49
151 O 0.4862 0.8018 0.0881  1 S 1.49
152 Sc 0.6681 0.6615 0.8106  6 O 2.00-2.21
153 S 0.4782 0.6281 0.0832  4 O 1.48-1.49
154 O 0.2592 0.8763 0.3654  1 S 1.49
155 O 0.2348 0.3101 0.7458  1 S 1.48
156 O 0.7591 0.8776 0.3643  1 S 1.46
157 O 0.8508 0.1558 0.0264  1 Si 1.62
158 O 0.9892 0.1845 0.3022  1 S 1.47
159 O 0.7471 0.1208 0.6378  1 Si 1.59
160 O 0.3522 0.5523 0.5261  1 Si 1.64
161 O 0.8245 0.5259 0.6339  1 S 1.44
162 O 0.8998 0.9777 0.4101  1 S 1.50
163 O 0.2688 0.8461 0.7540  1 S 1.48
164 O 0.5091 0.8241 0.4116  1 S 1.49
165 O 0.9410 0.3584 0.6350  1 S 1.45
166 O 0.6571 0.8475 0.2583  1 S 1.47
167 O 0.3220 0.1330 0.4217  1 S 1.48
168 Sc 0.8227 0.3149 0.1779  2 O 1.89-1.91
169 O 0.5933 0.9679 0.1992  1 S 1.49
170 O 0.0855 0.6727 0.7551  1 Si 1.66
171 Na 0.9976 0.3683 0.7508  4 O 2.28-2.53
172 Si 0.6897 0.0378 0.5813  4 O 1.59-1.68
173 O 0.8486 0.5553 0.5282  1 S 1.50
174 Sn 0.5069 0.9985 0.6445  4 O 1.97-2.12
175 Sn 0.6639 0.6618 0.5179  6 O 1.96-2.18
176 Sc 0.5020 0.0121 0.8538  3 O 1.91-2.11
177 O 0.9260 0.4865 0.4253  1 Si 1.63
178 O 0.0887 0.7083 0.4692  1 Si 1.64
179 O 0.6465 0.4752 0.7532  1 Si 1.64
180 O 0.5858 0.4648 0.9722  1 Si 1.66
181 Na 0.1656 0.0225 0.4269  6 O 2.40-2.62
182 O 0.0661 0.4832 0.5757  1 S 1.50
183 Si 0.8573 0.9956 0.7508  4 O 1.61-1.67
184 S 0.3144 0.9604 0.4170  4 O 1.48-1.49
185 Na 0.9998 0.6291 0.2543  5 O 2.35-2.55
186 O 0.7303 0.1515 0.5217  1 Si 1.65
187 Si 0.1629 0.9592 0.9180  4 O 1.61-1.66
188 O 0.1701 0.8451 0.5812  1 Si 1.65
189 Sc 0.1675 0.6868 0.8141  2 O 1.89-1.96
190 S 0.3556 0.0000 0.7482  4 O 1.48-1.49
191 O 0.7770 0.6979 0.9712  1 S 1.49
192 O 0.9256 0.3066 0.5293  1 S 1.50
193 O 0.5237 0.2215 0.1926  1 Si 1.63
194 Sn 0.1662 0.6768 0.5234  5 O 1.97-2.18
195 O 0.9431 0.5275 0.1397  1 S 1.48
196 Sn 0.8291 0.3356 0.4808  5 O 1.95-2.18
197 O 0.4247 0.5447 0.0312  1 S 1.48
198 O 0.5765 0.6908 0.7551  1 S 1.48
199 Sc 0.9969 0.9894 0.3570  5 O 1.95-2.15
200 O 0.0615 0.6355 0.3544  1 Si 1.64
201 O 0.5774 0.1719 0.4133  1 Si 1.66
202 O 0.5689 0.4918 0.5798  1 S 1.50
203 Sc 0.3308 0.3472 0.1874  4 O 1.97-2.16
204 O 0.0626 0.4729 0.8633  1 S 1.47
205 O 0.8522 0.5419 0.2445  1 S 1.49
206 Si 0.6814 0.3259 0.0820  4 O 1.63-1.67
207 O 0.4218 0.7988 0.3074  1 Si 1.66
208 O 0.0727 0.4483 0.9692  1 S 1.52
209 O 0.1096 0.1879 0.8042  1 S 1.49
210 O 0.4163 0.8319 0.5904  1 Si 1.65
211 S 0.0187 0.3697 0.9152  4 O 1.47-1.52
212 Sc 0.6656 0.6459 0.3144  2 O 1.89-1.97
213 Sn 0.0017 0.9880 0.6504  3 O 1.95-2.01
214 O 0.1020 0.0226 0.3031  1 S 1.48
215 Na 0.1826 0.6620 0.1648  3 O 2.44-2.57
216 O 0.3465 0.1426 0.0299  1 S 1.49
217 S 0.8150 0.6691 0.9176  4 O 1.47-1.49
218 O 0.6783 0.8738 0.8658  1 S 1.46
219 O 0.4412 0.5249 0.1366  1 S 1.48
220 O 0.2436 0.3499 0.4203  1 S 1.49
221 Si 0.1815 0.0401 0.5823  4 O 1.62-1.67
222 O 0.5615 0.6518 0.3621  1 S 1.48